[1]
Density functional theory data (PBE with a Hubbard U) for a relaxed Mn2O3F crystal.

Summary:
- relative energy among the computed polymorphs (meV per atom) = 3.9
- V (A^3/atom) = 10.534
- ΔH_f (0 K) (eV/atom) = -2.04
- calculated total energy (eV/cell) = -207.23

Cell and atoms, written as POSCAR:
```
Mn2O3F
1.0
3.1675 -3.3086 0.0000
3.1675 3.3086 0.0000
0.0000 0.0000 15.0770
O F Mn
15 5 10
direct
0.3083 0.3081 0.5999
0.8088 0.1912 0.1008
0.3036 0.3133 0.1997
0.1868 0.8132 0.3000
0.6919 0.6917 0.4001
0.6867 0.6964 0.1997
0.8127 0.1873 0.5000
0.3036 0.3133 0.8003
0.7059 0.6847 0.0000
0.1868 0.8132 0.7000
0.3153 0.2941 0.0000
0.6867 0.6964 0.8003
0.6919 0.6917 0.5999
0.3083 0.3081 0.4001
0.8088 0.1912 0.8992
0.2088 0.7912 0.0945
0.7792 0.2208 0.7005
0.7792 0.2208 0.2995
0.2204 0.7796 0.5000
0.2088 0.7912 0.9055
0.4755 0.5245 0.6997
0.5186 0.4814 0.8995
0.4755 0.5245 0.3003
0.9993 0.0007 0.7999
0.0001 0.9999 0.5999
0.5241 0.4759 0.5000
0.5186 0.4814 0.1005
0.0001 0.9999 0.4001
0.9993 0.0007 0.2001
0.9865 0.0135 0.0000
```



[2]
Density functional theory data (PBE with a Hubbard U) for a relaxed Li2VFeP2H2O10 crystal.

Summary:
- relative energy among the computed polymorphs (meV per atom) = 4.7
- V (A^3/atom) = 10.155
- ΔH_f (0 K) (eV/atom) = -2.37
- calculated total energy (eV/cell) = -360.64

Cell and atoms, written as POSCAR:
```
Li2VFeP2H2O10
1.0
5.4342 0.0000 0.0000
-2.6365 6.9996 0.0000
-0.6133 -1.7217 14.4162
P Li O H Fe V
6 6 30 6 3 3
direct
0.0190 0.3798 0.1481
0.6484 0.2872 0.5188
0.3149 0.9544 0.1853
0.6850 0.0471 0.8145
0.3515 0.7128 0.4814
0.9812 0.6188 0.8518
0.0673 0.4645 0.6417
0.4004 0.7969 0.9744
0.9324 0.5354 0.3585
0.5999 0.2031 0.0251
0.2660 0.8689 0.6920
0.7340 0.1311 0.3083
0.0443 0.8388 0.2182
0.0339 0.3763 0.2554
0.9187 0.1708 0.0996
0.6329 0.2908 0.4115
0.9541 0.9031 0.6302
0.3785 0.4292 0.7047
0.2526 0.5030 0.4327
0.5302 0.8750 0.2163
0.5868 0.8368 0.7659
0.9571 0.1623 0.7822
0.6202 0.5699 0.2965
0.3773 0.1717 0.5520
0.7090 0.5036 0.8844
0.7127 0.7610 0.0369
0.2884 0.2395 0.9616
0.0460 0.0970 0.3699
0.6225 0.8285 0.4483
0.1360 0.7919 0.4504
0.8640 0.2082 0.5498
0.8034 0.4592 0.1169
0.1975 0.5412 0.8825
0.7468 0.4970 0.5675
0.0813 0.8281 0.9004
0.4137 0.1642 0.2338
0.2896 0.4952 0.1150
0.3670 0.7086 0.5887
0.2997 0.9582 0.0778
0.4688 0.1247 0.7840
0.7010 0.0425 0.9221
0.9654 0.6234 0.7445
0.9538 0.0119 0.6748
0.7095 0.6526 0.9915
0.3803 0.3212 0.6600
0.6199 0.6784 0.3412
0.2899 0.3474 0.0071
0.0465 0.9883 0.3254
0.6674 0.6673 0.6672
0.3330 0.3333 0.3333
0.3333 0.3336 0.8335
0.6671 0.6668 0.1664
0.0001 0.0001 0.5001
0.9997 0.9995 0.9996
```



[3]
Density functional theory data (PBE with a Hubbard U) for a relaxed KPrVWO6 crystal.

Summary:
- V (A^3/atom) = 12.956
- ΔH_f (0 K) (eV/atom) = -2.58
- calculated total energy (eV/cell) = -73.17

Cell and atoms, written as POSCAR:
```
KPrVWO6
1.0
3.1714 -3.9774 -2.5263
-2.0638 -2.8824 -4.4375
2.0902 0.9149 -5.2013
O K Pr W V
6 1 1 1 1
direct
0.7423 0.2577 0.7423
0.7423 0.2577 0.2577
0.7423 0.7423 0.2577
0.2577 0.7423 0.2577
0.2577 0.2577 0.7423
0.2577 0.7423 0.7423
0.2500 0.2500 0.2500
0.7500 0.7500 0.7500
0.5000 0.5000 0.5000
0.0000 0.0000 0.0000
```



[4]
Density functional theory data (PBE with a Hubbard U) for a relaxed Li5Mn3O8 crystal.

Summary:
- relative energy among the computed polymorphs (meV per atom) = 75.1
- V (A^3/atom) = 9.182
- ΔH_f (0 K) (eV/atom) = -2.07
- calculated total energy (eV/cell) = -99.31

Cell and atoms, written as POSCAR:
```
Li5Mn3O8
1.0
2.9666 0.0000 0.0000
0.1602 5.1125 0.0000
0.2744 1.9094 9.6861
O Mn Li
8 3 5
direct
0.5114 0.3875 0.3900
0.4886 0.6125 0.6100
0.4566 0.8560 0.8864
0.0007 0.1551 0.6185
0.0149 0.3727 0.8929
0.9993 0.8449 0.3815
0.5434 0.1440 0.1136
0.9851 0.6273 0.1071
0.0000 0.0000 0.0000
0.5000 0.5000 0.0000
0.0000 0.5000 0.5000
0.9945 0.2185 0.2774
0.0055 0.7815 0.7226
0.5156 0.7482 0.2724
0.5000 0.0000 0.5000
0.4844 0.2518 0.7276
```



[5]
Density functional theory data (PBE with a Hubbard U) for a relaxed ZnFe2O4 crystal.

Summary:
- relative energy among the computed polymorphs (meV per atom) = 34.5
- V (A^3/atom) = 11.134
- ΔH_f (0 K) (eV/atom) = -1.71
- calculated total energy (eV/cell) = -341.64

Cell and atoms, written as POSCAR:
```
ZnFe2O4
1.0
2.3736 -0.3975 5.5404
2.1879 -5.2717 1.9774
23.8291 -2.9206 2.7531
O Fe Zn
32 16 8
direct
0.4048 0.8720 0.9628
0.3884 0.3884 0.4587
0.8653 0.8653 0.7159
0.3770 0.3770 0.0978
0.3719 0.3719 0.3488
0.8720 0.4048 0.9628
0.8662 0.8662 0.1003
0.3828 0.3828 0.2129
0.8643 0.8643 0.4660
0.8643 0.4074 0.4660
0.3867 0.8416 0.8462
0.3860 0.8453 0.5957
0.4074 0.8643 0.4660
0.8654 0.8654 0.3510
0.8650 0.8650 0.6012
0.8608 0.3719 0.3488
0.8720 0.8720 0.9628
0.8653 0.4060 0.7159
0.8547 0.3770 0.0978
0.8698 0.8698 0.2141
0.3860 0.3860 0.5957
0.8416 0.3867 0.8462
0.3796 0.3796 0.9653
0.8453 0.3860 0.5957
0.3850 0.3850 0.7112
0.4039 0.8698 0.2141
0.8698 0.4039 0.2141
0.8655 0.8655 0.8509
0.3770 0.8547 0.0978
0.3719 0.8608 0.3488
0.4060 0.8653 0.7159
0.3867 0.3867 0.8462
0.6235 0.6235 0.5324
0.6264 0.1208 0.1566
0.2471 0.2471 0.0647
0.6264 0.6264 0.1566
0.1236 0.6243 0.6570
0.6258 0.6258 0.9069
0.1208 0.6264 0.1566
0.6243 0.1236 0.6570
0.2475 0.2475 0.3144
0.6261 0.1222 0.4064
0.6235 0.6235 0.7823
0.6261 0.6261 0.4064
0.6258 0.1208 0.9069
0.1222 0.6261 0.4064
0.1208 0.6258 0.9069
0.6243 0.6243 0.6570
0.0046 0.0046 0.9966
0.6273 0.6273 0.2795
0.2498 0.2498 0.5626
0.2469 0.2469 0.8148
0.6265 0.6265 0.0301
0.0032 0.0032 0.2476
0.9995 0.9995 0.5004
0.9995 0.9995 0.7504
```



[6]
Density functional theory data (PBE with a Hubbard U) for a relaxed Li3VO2F2 crystal.

Summary:
- relative energy among the computed polymorphs (meV per atom) = 0.0
- V (A^3/atom) = 9.192
- ΔH_f (0 K) (eV/atom) = -2.75
- calculated total energy (eV/cell) = -186.13

Cell and atoms, written as POSCAR:
```
Li3VO2F2
1.0
4.2560 -2.0802 2.0800
-4.2559 -8.3170 4.1636
0.0001 -4.1533 -4.1531
Li V F O
12 4 8 8
direct
0.2496 0.2503 0.3754
0.7492 0.2503 0.1256
0.2492 0.7504 0.8753
0.7493 0.7503 0.1254
0.7493 0.7503 0.6254
0.2491 0.7503 0.3759
0.9991 0.5002 0.5009
0.4991 0.0002 0.7503
0.7492 0.2503 0.6256
0.4991 0.0003 0.2509
0.9991 0.5002 0.0003
0.2489 0.2502 0.8754
0.4989 0.5003 0.2506
0.9989 0.0003 0.0006
0.9990 0.0003 0.5006
0.4989 0.5003 0.7506
0.8710 0.3763 0.8126
0.1275 0.6241 0.1888
0.6274 0.1241 0.9389
0.3711 0.8763 0.5625
0.8704 0.3765 0.3124
0.3704 0.8765 0.0624
0.6269 0.1243 0.4387
0.1268 0.6244 0.6887
0.1155 0.1170 0.6922
0.1157 0.1169 0.1924
0.3824 0.3838 0.0588
0.6156 0.6169 0.4423
0.6156 0.6170 0.9423
0.3825 0.3837 0.5589
0.8824 0.8838 0.8089
0.8825 0.8837 0.3089
```



[7]
Density functional theory data (PBE with a Hubbard U) for a relaxed CsAlFe3Si3O12 crystal.

Summary:
- V (A^3/atom) = 13.586
- ΔH_f (0 K) (eV/atom) = -2.66
- calculated total energy (eV/cell) = -143.88

Cell and atoms, written as POSCAR:
```
CsAlFe3Si3O12
1.0
-1.8297 0.0094 -5.0822
0.2229 -4.6307 2.7743
-9.4228 3.2207 4.4271
O Si Fe Al Cs
12 3 3 1 1
direct
0.0622 0.0510 0.1866
0.9264 0.4298 0.8168
0.6372 0.6392 0.4099
0.0407 0.6858 0.6096
0.5552 0.0742 0.1753
0.9616 0.3258 0.4037
0.6777 0.0358 0.6091
0.9302 0.9308 0.8101
0.3214 0.9598 0.3903
0.3703 0.3640 0.5916
0.4302 0.9272 0.8185
0.0861 0.5771 0.1757
0.0798 0.7432 0.7612
0.2559 0.9157 0.2326
0.7405 0.0796 0.7609
0.3418 0.6487 0.4975
0.0036 0.0038 0.4974
0.6531 0.3431 0.4952
0.9180 0.2566 0.2379
0.5082 0.5086 0.0201
```



[8]
Density functional theory data (PBE with a Hubbard U) for a relaxed Sr2Ca6Mn8O23 crystal.

Summary:
- relative energy among the computed polymorphs (meV per atom) = 0.0
- V (A^3/atom) = 11.564
- ΔH_f (0 K) (eV/atom) = -2.49
- calculated total energy (eV/cell) = -270.45

Cell and atoms, written as POSCAR:
```
Sr2Ca6Mn8O23
1.0
7.7935 0.0000 0.0000
0.0000 7.5734 0.0000
0.0000 0.0000 7.6412
O Mn Ca Sr
23 8 6 2
direct
0.2501 0.5083 0.9919
0.0000 0.9240 0.7500
0.5000 0.4553 0.7500
0.5000 0.9475 0.2500
0.0000 0.4471 0.2500
0.0000 0.7538 0.0671
0.5000 0.5497 0.2500
0.7559 0.9988 0.0225
0.2441 0.9988 0.4775
0.0000 0.7538 0.4329
0.5000 0.7544 0.9428
0.0000 0.2474 0.9492
0.5000 0.7544 0.5572
0.0000 0.2474 0.5508
0.7499 0.5083 0.5081
0.5000 0.2534 0.0383
0.5000 0.0568 0.7500
0.7559 0.9988 0.4775
0.2501 0.5083 0.5081
0.0000 0.5576 0.7500
0.2441 0.9988 0.0225
0.7499 0.5083 0.9919
0.5000 0.2534 0.4617
0.0000 0.5037 0.4996
0.5000 0.5052 0.5019
0.0000 0.9930 0.9839
0.0000 0.9930 0.5161
0.5000 0.0002 0.5001
0.5000 0.0002 0.9999
0.0000 0.5037 0.0004
0.5000 0.5052 0.9981
0.2566 0.7346 0.7500
0.7458 0.2631 0.7500
0.2556 0.7497 0.2500
0.2542 0.2631 0.7500
0.7434 0.7346 0.7500
0.7444 0.7497 0.2500
0.2590 0.2583 0.2500
0.7410 0.2583 0.2500
```